Record 1
Below is Tl4S3 after structural relaxation, with properties calculated at the PBE-GGA level.

The structure in CIF format:
```
data_Tl4S3
_space_group_name_H-M_alt 'P 1'
_space_group_IT_number 1
_cell_length_a 13.129
_cell_length_b 8.139
_cell_length_c 8.359
_cell_angle_alpha 76.68
_cell_angle_beta 90.00
_cell_angle_gamma 90.00
loop_
_space_group_symop_operation_xyz
'x,y,z'
loop_
_atom_site_label
_atom_site_type_symbol
_atom_site_fract_x
_atom_site_fract_y
_atom_site_fract_z
Tl1 Tl 0.776 0.460 0.707
Tl2 Tl 0.276 0.040 0.293
Tl3 Tl 0.224 0.540 0.293
Tl4 Tl 0.724 0.960 0.707
Tl5 Tl 0.790 0.585 0.197
Tl6 Tl 0.290 0.915 0.803
Tl7 Tl 0.210 0.415 0.803
Tl8 Tl 0.710 0.085 0.197
Tl9 Tl 0.534 0.724 0.087
Tl10 Tl 0.034 0.776 0.913
Tl11 Tl 0.466 0.276 0.913
Tl12 Tl 0.966 0.224 0.087
Tl13 Tl 0.498 0.271 0.471
Tl14 Tl 0.998 0.229 0.529
Tl15 Tl 0.502 0.729 0.529
Tl16 Tl 0.002 0.771 0.471
S1 S 0.834 0.916 0.961
S2 S 0.334 0.584 0.039
S3 S 0.166 0.084 0.039
S4 S 0.666 0.416 0.961
S5 S 0.747 0.756 0.508
S6 S 0.247 0.744 0.492
S7 S 0.253 0.244 0.492
S8 S 0.753 0.256 0.508
S9 S 0.972 0.457 0.759
S10 S 0.472 0.043 0.241
S11 S 0.028 0.543 0.241
S12 S 0.528 0.957 0.759
```

Summary:
DFT total energy in eV per atom: -3.407
SG: P2_1/c (14)



Record 2
Below is LiSbP2O7 after structural relaxation, with properties calculated at the PBE-GGA level.

The structure in CIF format:
```
data_LiSbP2O7
_space_group_name_H-M_alt 'P 1'
_space_group_IT_number 1
_cell_length_a 8.551
_cell_length_b 5.133
_cell_length_c 13.358
_cell_angle_alpha 67.97
_cell_angle_beta 90.00
_cell_angle_gamma 90.00
loop_
_space_group_symop_operation_xyz
'x,y,z'
loop_
_atom_site_label
_atom_site_type_symbol
_atom_site_fract_x
_atom_site_fract_y
_atom_site_fract_z
Li1 Li 0.349 0.255 0.897
Li2 Li 0.651 0.745 0.103
Li3 Li 0.849 0.745 0.603
Li4 Li 0.151 0.255 0.397
Sb1 Sb 0.796 0.030 0.286
Sb2 Sb 0.296 0.970 0.214
Sb3 Sb 0.704 0.030 0.786
Sb4 Sb 0.204 0.970 0.714
P1 P 0.290 0.657 0.019
P2 P 0.710 0.343 0.981
P3 P 0.210 0.657 0.519
P4 P 0.037 0.565 0.162
P5 P 0.463 0.565 0.662
P6 P 0.963 0.435 0.838
P7 P 0.537 0.435 0.338
P8 P 0.790 0.343 0.481
O1 O 0.376 0.296 0.730
O2 O 0.686 0.135 0.095
O3 O 0.176 0.347 0.539
O4 O 0.898 0.325 0.959
O5 O 0.314 0.865 0.905
O6 O 0.186 0.865 0.405
O7 O 0.078 0.804 0.204
O8 O 0.125 0.753 0.603
O9 O 0.422 0.804 0.704
O10 O 0.375 0.753 0.103
O11 O 0.362 0.476 0.340
O12 O 0.624 0.704 0.270
O13 O 0.638 0.524 0.660
O14 O 0.602 0.325 0.459
O15 O 0.625 0.247 0.897
O16 O 0.824 0.653 0.461
O17 O 0.324 0.347 0.039
O18 O 0.922 0.196 0.796
O19 O 0.814 0.135 0.595
O20 O 0.875 0.247 0.397
O21 O 0.398 0.675 0.541
O22 O 0.578 0.196 0.296
O23 O 0.676 0.653 0.961
O24 O 0.124 0.296 0.230
O25 O 0.862 0.524 0.160
O26 O 0.876 0.704 0.770
O27 O 0.102 0.675 0.041
O28 O 0.138 0.476 0.840
```

Summary:
DFT total energy in eV per atom: -6.723
SG: P2_1/c (14)



Please write out number 1 again, unchanged.
Below is Tl4S3 after structural relaxation, with properties calculated at the PBE-GGA level.

The structure in CIF format:
```
data_Tl4S3
_space_group_name_H-M_alt 'P 1'
_space_group_IT_number 1
_cell_length_a 13.129
_cell_length_b 8.139
_cell_length_c 8.359
_cell_angle_alpha 76.68
_cell_angle_beta 90.00
_cell_angle_gamma 90.00
loop_
_space_group_symop_operation_xyz
'x,y,z'
loop_
_atom_site_label
_atom_site_type_symbol
_atom_site_fract_x
_atom_site_fract_y
_atom_site_fract_z
Tl1 Tl 0.776 0.460 0.707
Tl2 Tl 0.276 0.040 0.293
Tl3 Tl 0.224 0.540 0.293
Tl4 Tl 0.724 0.960 0.707
Tl5 Tl 0.790 0.585 0.197
Tl6 Tl 0.290 0.915 0.803
Tl7 Tl 0.210 0.415 0.803
Tl8 Tl 0.710 0.085 0.197
Tl9 Tl 0.534 0.724 0.087
Tl10 Tl 0.034 0.776 0.913
Tl11 Tl 0.466 0.276 0.913
Tl12 Tl 0.966 0.224 0.087
Tl13 Tl 0.498 0.271 0.471
Tl14 Tl 0.998 0.229 0.529
Tl15 Tl 0.502 0.729 0.529
Tl16 Tl 0.002 0.771 0.471
S1 S 0.834 0.916 0.961
S2 S 0.334 0.584 0.039
S3 S 0.166 0.084 0.039
S4 S 0.666 0.416 0.961
S5 S 0.747 0.756 0.508
S6 S 0.247 0.744 0.492
S7 S 0.253 0.244 0.492
S8 S 0.753 0.256 0.508
S9 S 0.972 0.457 0.759
S10 S 0.472 0.043 0.241
S11 S 0.028 0.543 0.241
S12 S 0.528 0.957 0.759
```

Summary:
DFT total energy in eV per atom: -3.407
SG: P2_1/c (14)